[1]
Nb2Ni5Te6: optimized geometry, PBE.

Lattice parameters (Å, degrees): 7.5748 10.7521 8.4280 113.28 116.60 69.50
Atoms (fractional coordinates):
Te 0.2705 0.6617 0.4608
Te 0.2549 0.6705 0.9164
Te 0.7490 0.6685 0.9265
Ni 0.3174 0.0693 0.4565
Ni 0.6805 0.9292 0.5442
Te 0.0114 0.0042 0.7759
Te 0.5096 0.0069 0.7800
Nb 0.8740 0.7980 0.2967
Te 0.7510 0.3315 0.0735
Ni 0.1331 0.5874 0.0985
Ni 0.8195 0.0708 0.4558
Ni 0.6290 0.5892 0.1022
Te 0.9904 0.9931 0.2200
Te 0.7812 0.6606 0.4673
Nb 0.3741 0.7904 0.2891
Ni 0.3669 0.4126 0.9015
Ni 0.1826 0.9307 0.5435
Nb 0.1259 0.2096 0.7109
Te 0.2295 0.3383 0.5392
Te 0.7188 0.3394 0.5327
Ni 0.8710 0.4108 0.8978
Te 0.2451 0.3295 0.0836
Ni 0.9844 0.5025 0.7223
Ni 0.5156 0.4975 0.2777
Nb 0.6260 0.2020 0.7033
Te 0.4886 0.9958 0.2241

- E_form: -0.54 eV/atom
- Symmetry: P-1 (2)
- Calculated total energy: -5.5685 eV per atom
- Calculated volume: 21.20 Å³ per atom
- Distance to the lowest polymorph of the same formula: 0 meV/atom


[2]
Sc11Os4: optimized geometry, PBE.

Lattice parameters (Å, degrees): 9.4629 9.4629 9.4629 60.00 60.00 60.00
Atoms (fractional coordinates):
Sc 0.1484 0.6172 0.6172
Sc 0.6172 0.6172 0.6172
Sc 0.5328 0.1557 0.1557
Sc 0.8012 0.8012 0.1988
Os 0.0000 0.0000 0.5000
Sc 0.1557 0.5328 0.1557
Sc 0.3828 0.3828 0.3828
Sc 0.1557 0.1557 0.1557
Sc 0.6172 0.1484 0.6172
Os 0.5000 0.5000 0.0000
Sc 0.1988 0.8012 0.8012
Sc 0.8443 0.8443 0.8443
Os 0.0000 0.5000 0.0000
Os 0.5000 0.5000 0.5000
Sc 0.8516 0.3828 0.3828
Sc 0.1988 0.8012 0.1988
Sc 0.1557 0.1557 0.5328
Sc 0.8012 0.1988 0.1988
Os 0.5000 0.0000 0.5000
Sc 0.8443 0.4672 0.8443
Os 0.5000 0.0000 0.0000
Sc 0.6172 0.6172 0.1484
Os 0.0000 0.5000 0.5000
Os 0.0000 0.0000 0.0000
Sc 0.3828 0.3828 0.8516
Sc 0.8012 0.1988 0.8012
Sc 0.3828 0.8516 0.3828
Sc 0.4672 0.8443 0.8443
Sc 0.8443 0.8443 0.4672
Sc 0.1988 0.1988 0.8012

- E_form: -0.37 eV/atom
- Symmetry: Fm-3m (225)
- Calculated total energy: -8.0085 eV per atom
- Calculated volume: 19.97 Å³ per atom


[3]
Tm5Ge3C: optimized geometry, PBE.

Lattice parameters (Å, degrees): 8.4202 8.4202 6.3042 90.00 90.00 120.00
Atoms (fractional coordinates):
Ge 0.0000 0.4035 0.2500
Tm 0.7785 0.7785 0.7500
Ge 0.5965 0.5965 0.2500
Tm 0.2215 0.0000 0.7500
Tm 0.6667 0.3333 0.0000
Ge 0.5965 0.0000 0.7500
Tm 0.0000 0.2215 0.7500
Tm 0.3333 0.6667 0.0000
Ge 0.0000 0.5965 0.7500
Ge 0.4035 0.0000 0.2500
Tm 0.2215 0.2215 0.2500
C 0.0000 0.0000 0.0000
Tm 0.3333 0.6667 0.5000
Tm 0.6667 0.3333 0.5000
Tm 0.7785 0.0000 0.2500
C 0.0000 0.0000 0.5000
Ge 0.4035 0.4035 0.7500
Tm 0.0000 0.7785 0.2500

- E_form: -0.74 eV/atom
- Symmetry: P6_3/mcm (193)
- Calculated total energy: -5.7931 eV per atom
- Calculated volume: 21.50 Å³ per atom


[4]
LuP3O9: optimized geometry, PBE.

Lattice parameters (Å, degrees): 7.8471 7.8471 10.0852 57.06 57.06 51.01
Atoms (fractional coordinates):
O 0.7858 0.6639 0.9544
O 0.4441 0.1898 0.2096
O 0.5049 0.5227 0.7214
O 0.4986 0.8767 0.1597
P 0.7077 0.5547 0.5827
O 0.1532 0.0428 0.3691
O 0.2894 0.1962 0.5637
O 0.8767 0.4986 0.6597
P 0.5547 0.7077 0.0827
O 0.1898 0.4441 0.7096
Lu 0.6098 0.1369 0.3539
O 0.1962 0.2894 0.0637
O 0.5227 0.5049 0.2214
O 0.1118 0.7473 0.0073
O 0.9567 0.9966 0.1778
O 0.0428 0.1532 0.8691
P 0.1211 0.3194 0.6919
O 0.7473 0.1118 0.5073
O 0.9966 0.9567 0.6778
O 0.3715 0.8591 0.9839
Lu 0.1369 0.6098 0.8539
O 0.8591 0.3715 0.4839
O 0.6639 0.7858 0.4544
P 0.1109 0.9278 0.0223
P 0.9278 0.1109 0.5223
P 0.3194 0.1211 0.1919

- E_form: -3.03 eV/atom
- Symmetry: Cc (9)
- Calculated total energy: -7.5751 eV per atom
- Calculated volume: 14.82 Å³ per atom
- Distance to the lowest polymorph of the same formula: 13 meV/atom


[5]
La3Ta2N6: optimized geometry, PBE.

Lattice parameters (Å, degrees): 10.4978 10.4978 10.4978 157.54 157.54 31.97
Atoms (fractional coordinates):
N 0.9145 0.4145 0.5000
N 0.5855 0.0855 0.5000
N 0.0855 0.5855 0.5000
La 0.1805 0.1805 0.0000
Ta 0.3989 0.3989 0.0000
N 0.3020 0.3020 0.0000
Ta 0.6011 0.6011 0.0000
La 0.8195 0.8195 0.0000
La 0.0000 0.0000 0.0000
N 0.6980 0.6980 0.0000
N 0.4145 0.9145 0.5000

- E_form: -1.62 eV/atom
- Symmetry: I4/mmm (139)
- Calculated total energy: -9.4692 eV per atom
- Calculated volume: 15.34 Å³ per atom


[6]
K3As: optimized geometry, PBE.

Lattice parameters (Å, degrees): 5.8625 5.8625 10.3837 90.00 90.00 120.00
Atoms (fractional coordinates):
K 0.0000 0.0000 0.7500
K 0.0000 0.0000 0.2500
K 0.3333 0.6667 0.9211
As 0.3333 0.6667 0.2500
K 0.6667 0.3333 0.4211
As 0.6667 0.3333 0.7500
K 0.6667 0.3333 0.0789
K 0.3333 0.6667 0.5789

- E_form: -0.32 eV/atom
- Symmetry: P6_3/mmc (194)
- Calculated total energy: -2.3194 eV per atom
- Calculated volume: 38.63 Å³ per atom